Run P
Below is a geometry-optimized Li2Ti2O5 structure, with properties calculated at the PBE level.

Values from the calculation:
Size of the total moment, μB per formula unit: 0.0
SG: P2_1/c

Lattice parameters (Å, degrees): 5.316 8.608 11.723 67.48 90.00 90.00
Element x y z (fractional)
Li (0.342, 0.906, 0.310)
O (0.322, 0.266, 0.862)
Li (0.658, 0.094, 0.690)
Li (0.842, 0.094, 0.190)
Li (0.829, 0.899, 0.985)
O (0.679, 0.266, 0.248)
O (0.214, 0.886, 0.985)
Ti (0.167, 0.717, 0.614)
O (0.178, 0.266, 0.362)
O (0.730, 0.487, 0.896)
O (0.321, 0.734, 0.752)
Ti (0.667, 0.283, 0.886)
O (0.714, 0.114, 0.515)
O (0.286, 0.886, 0.485)
O (0.822, 0.734, 0.638)
O (0.786, 0.114, 0.015)
Ti (0.833, 0.283, 0.386)
Li (0.671, 0.899, 0.485)
Ti (0.664, 0.703, 0.787)
Li (0.329, 0.101, 0.515)
O (0.230, 0.513, 0.604)
Li (0.158, 0.906, 0.810)
O (0.729, 0.869, 0.328)
O (0.678, 0.734, 0.138)
O (0.771, 0.869, 0.828)
Ti (0.164, 0.297, 0.713)
Ti (0.836, 0.703, 0.287)
O (0.179, 0.734, 0.252)
Li (0.171, 0.101, 0.015)
O (0.270, 0.513, 0.104)
O (0.821, 0.266, 0.748)
Ti (0.333, 0.717, 0.114)
O (0.271, 0.131, 0.672)
Ti (0.336, 0.297, 0.213)
O (0.770, 0.487, 0.396)
O (0.229, 0.131, 0.172)

***

Run Q
Below is a geometry-optimized Li2Ti2O5 structure, with properties calculated at the PBE level.

Values from the calculation:
Size of the total moment, μB per formula unit: 0.0
SG: Pbcn

Lattice parameters (Å, degrees): 5.344 5.882 15.847 90.00 90.00 90.00
Element x y z (fractional)
O (0.345, 0.126, 0.873)
O (0.192, 0.088, 0.063)
Li (0.181, 0.901, 0.951)
O (0.808, 0.912, 0.937)
O (0.274, 0.500, 0.750)
Li (0.681, 0.401, 0.549)
Li (0.819, 0.099, 0.049)
O (0.845, 0.374, 0.873)
Ti (0.810, 0.408, 0.357)
Ti (0.190, 0.592, 0.643)
O (0.192, 0.912, 0.437)
O (0.692, 0.412, 0.063)
O (0.692, 0.588, 0.437)
Ti (0.310, 0.092, 0.357)
Li (0.181, 0.099, 0.549)
O (0.345, 0.874, 0.627)
O (0.808, 0.088, 0.563)
O (0.655, 0.874, 0.127)
O (0.155, 0.626, 0.127)
O (0.155, 0.374, 0.373)
O (0.845, 0.626, 0.627)
Li (0.681, 0.599, 0.951)
O (0.774, 0.000, 0.750)
O (0.308, 0.412, 0.563)
O (0.726, 0.500, 0.250)
O (0.308, 0.588, 0.937)
Li (0.319, 0.401, 0.049)
Ti (0.810, 0.592, 0.143)
O (0.226, 0.000, 0.250)
O (0.655, 0.126, 0.373)
Li (0.319, 0.599, 0.451)
Ti (0.690, 0.092, 0.857)
Ti (0.690, 0.908, 0.643)
Li (0.819, 0.901, 0.451)
Ti (0.190, 0.408, 0.857)
Ti (0.310, 0.908, 0.143)

***

Stability, highest: run Q

***

Run P
Below is a geometry-optimized Li4Ti15O32 structure, with properties calculated at the PBE level.

Values from the calculation:
Size of the total moment, μB per formula unit: 0.0
SG: R-3m

Lattice parameters (Å, degrees): 19.680 19.680 19.680 17.47 17.47 17.47
Element x y z (fractional)
O (0.809, 0.809, 0.809)
Ti (0.879, 0.361, 0.879)
Ti (0.373, 0.373, 0.879)
O (0.815, 0.297, 0.815)
O (0.185, 0.185, 0.703)
O (0.919, 0.919, 0.480)
O (0.081, 0.520, 0.081)
Ti (0.627, 0.627, 0.121)
Ti (0.500, 0.500, 0.500)
Ti (0.361, 0.879, 0.879)
O (0.191, 0.191, 0.191)
Ti (0.121, 0.627, 0.627)
O (0.667, 0.667, 0.232)
O (0.768, 0.333, 0.333)
O (0.058, 0.058, 0.058)
O (0.560, 0.560, 0.560)
Ti (0.121, 0.121, 0.639)
Ti (0.121, 0.639, 0.121)
O (0.418, 0.978, 0.418)
Ti (0.749, 0.749, 0.749)
O (0.232, 0.667, 0.667)
Ti (0.373, 0.879, 0.373)
Ti (0.627, 0.121, 0.627)
Ti (0.251, 0.251, 0.251)
O (0.440, 0.440, 0.440)
O (0.919, 0.480, 0.919)
O (0.185, 0.703, 0.185)
O (0.333, 0.333, 0.768)
O (0.333, 0.768, 0.333)
O (0.815, 0.815, 0.297)
O (0.418, 0.418, 0.978)
O (0.520, 0.081, 0.081)
O (0.703, 0.185, 0.185)
Ti (0.639, 0.121, 0.121)
O (0.297, 0.815, 0.815)
O (0.310, 0.310, 0.310)
O (0.667, 0.232, 0.667)
Ti (0.879, 0.879, 0.361)
O (0.480, 0.919, 0.919)
O (0.942, 0.942, 0.942)
O (0.582, 0.582, 0.022)
O (0.690, 0.690, 0.690)
O (0.978, 0.418, 0.418)
O (0.022, 0.582, 0.582)
Li (0.594, 0.594, 0.594)
O (0.081, 0.081, 0.520)
Li (0.406, 0.406, 0.406)
Ti (0.879, 0.373, 0.373)
Li (0.344, 0.344, 0.344)
O (0.582, 0.022, 0.582)
Li (0.656, 0.656, 0.656)

***

Run Q
Below is a geometry-optimized Li4Ti15O32 structure, with properties calculated at the PBE level.

Values from the calculation:
Size of the total moment, μB per formula unit: 0.0
SG: R3m

Lattice parameters (Å, degrees): 19.768 19.768 19.768 17.37 17.37 17.37
Element x y z (fractional)
Ti (0.469, 0.469, 0.970)
O (0.402, 0.402, 0.402)
O (0.534, 0.534, 0.534)
O (0.260, 0.260, 0.827)
O (0.827, 0.260, 0.260)
O (0.035, 0.035, 0.035)
Ti (0.965, 0.965, 0.478)
O (0.154, 0.154, 0.154)
O (0.785, 0.785, 0.785)
Ti (0.210, 0.722, 0.722)
Ti (0.478, 0.965, 0.965)
Ti (0.217, 0.217, 0.724)
Ti (0.724, 0.217, 0.217)
O (0.260, 0.827, 0.260)
O (0.664, 0.664, 0.131)
O (0.761, 0.325, 0.761)
Ti (0.722, 0.210, 0.722)
O (0.425, 0.866, 0.425)
O (0.425, 0.425, 0.866)
O (0.902, 0.902, 0.902)
Li (0.188, 0.188, 0.188)
Li (0.499, 0.499, 0.499)
O (0.652, 0.652, 0.652)
Ti (0.096, 0.096, 0.096)
Ti (0.217, 0.724, 0.217)
O (0.284, 0.284, 0.284)
Ti (0.345, 0.345, 0.345)
O (0.024, 0.556, 0.024)
O (0.866, 0.425, 0.425)
O (0.924, 0.365, 0.924)
Ti (0.469, 0.970, 0.469)
Ti (0.594, 0.594, 0.594)
Li (0.843, 0.843, 0.843)
O (0.024, 0.024, 0.556)
O (0.556, 0.024, 0.024)
Ti (0.965, 0.478, 0.965)
O (0.924, 0.924, 0.365)
O (0.664, 0.131, 0.664)
O (0.175, 0.175, 0.613)
O (0.131, 0.664, 0.664)
O (0.365, 0.924, 0.924)
O (0.613, 0.175, 0.175)
Ti (0.722, 0.722, 0.210)
O (0.075, 0.511, 0.511)
Li (0.250, 0.250, 0.250)
O (0.761, 0.761, 0.325)
Ti (0.970, 0.469, 0.469)
O (0.511, 0.511, 0.075)
O (0.325, 0.761, 0.761)
O (0.511, 0.075, 0.511)
O (0.175, 0.613, 0.175)

***

Stability, highest: run P

***

Run P
Below is a geometry-optimized Li7Ti16O32 structure, with properties calculated at the PBE level.

Values from the calculation:
Size of the total moment, μB per formula unit: 7.0
SG: Cm

Lattice parameters (Å, degrees): 11.410 11.410 5.086 89.93 89.93 62.54
Element x y z (fractional)
Ti (0.511, 0.250, 0.030)
O (0.331, 0.829, 0.291)
Ti (0.000, 0.486, 0.973)
O (0.175, 0.175, 0.702)
O (0.418, 0.418, 0.790)
O (0.427, 0.921, 0.698)
Ti (0.486, 0.000, 0.973)
Ti (0.258, 0.009, 0.492)
O (0.830, 0.082, 0.282)
O (0.673, 0.673, 0.701)
O (0.671, 0.917, 0.805)
O (0.925, 0.925, 0.793)
Ti (0.003, 0.761, 0.010)
Ti (0.250, 0.511, 0.030)
O (0.583, 0.079, 0.201)
Li (0.174, 0.922, 0.064)
O (0.672, 0.176, 0.804)
O (0.333, 0.579, 0.287)
O (0.072, 0.328, 0.199)
Ti (0.758, 0.507, 0.481)
O (0.332, 0.332, 0.203)
Ti (0.740, 0.740, 0.979)
O (0.829, 0.331, 0.291)
O (0.831, 0.831, 0.215)
Ti (0.490, 0.490, 0.530)
O (0.581, 0.581, 0.288)
O (0.417, 0.172, 0.803)
O (0.080, 0.080, 0.292)
O (0.082, 0.830, 0.282)
O (0.668, 0.420, 0.696)
Ti (0.009, 0.258, 0.492)
Li (0.927, 0.663, 0.438)
O (0.917, 0.671, 0.805)
Li (0.922, 0.174, 0.064)
O (0.172, 0.919, 0.696)
O (0.921, 0.427, 0.698)
O (0.420, 0.668, 0.696)
Li (0.670, 0.421, 0.063)
O (0.172, 0.417, 0.803)
Ti (0.507, 0.758, 0.481)
Ti (0.761, 0.003, 0.010)
O (0.919, 0.172, 0.696)
Li (0.663, 0.927, 0.438)
O (0.579, 0.333, 0.287)
Ti (0.240, 0.240, 0.999)
O (0.079, 0.583, 0.201)
Ti (0.742, 0.240, 0.522)
Li (0.421, 0.670, 0.063)
O (0.832, 0.581, 0.210)
O (0.328, 0.072, 0.199)
Ti (0.993, 0.993, 0.515)
Li (0.328, 0.328, 0.571)
Ti (0.240, 0.742, 0.522)
O (0.581, 0.832, 0.210)
O (0.176, 0.672, 0.804)

***

Run Q
Below is a geometry-optimized Li7Ti16O32 structure, with properties calculated at the PBE level.

Values from the calculation:
Size of the total moment, μB per formula unit: 2.7
SG: I-42m

Lattice parameters (Å, degrees): 10.366 10.366 10.366 131.81 131.81 70.53
Element x y z (fractional)
Ti (0.312, 0.062, 0.000)
O (0.044, 0.544, 0.225)
Ti (0.938, 0.938, 0.249)
O (0.556, 0.056, 0.724)
O (0.918, 0.694, 0.000)
O (0.544, 0.044, 0.225)
O (0.318, 0.819, 0.775)
O (0.956, 0.181, 0.499)
O (0.571, 0.571, 0.282)
O (0.418, 0.194, 0.000)
Ti (0.688, 0.688, 0.751)
O (0.168, 0.444, 0.500)
Li (0.000, 0.000, 0.000)
Ti (0.934, 0.438, 0.248)
Li (0.375, 0.375, 0.502)
O (0.832, 0.332, 0.276)
O (0.068, 0.068, 0.274)
O (0.306, 0.306, 0.225)
O (0.194, 0.418, 0.000)
Li (0.126, 0.625, 0.000)
O (0.944, 0.668, 0.500)
O (0.082, 0.082, 0.775)
O (0.056, 0.556, 0.724)
O (0.444, 0.168, 0.500)
O (0.181, 0.956, 0.499)
O (0.819, 0.318, 0.775)
Li (0.625, 0.126, 0.000)
O (0.806, 0.806, 0.225)
Ti (0.438, 0.934, 0.248)
O (0.932, 0.206, 0.000)
Ti (0.810, 0.562, 0.496)
O (0.332, 0.832, 0.276)
O (0.206, 0.932, 0.000)
O (0.712, 0.429, 0.000)
Li (0.874, 0.874, 0.498)
Ti (0.811, 0.562, 0.000)
Ti (0.066, 0.314, 0.504)
O (0.794, 0.794, 0.726)
Li (0.750, 0.250, 0.500)
O (0.682, 0.456, 0.501)
Ti (0.562, 0.810, 0.496)
Ti (0.438, 0.438, 0.250)
Ti (0.062, 0.312, 0.000)
Ti (0.314, 0.066, 0.504)
O (0.456, 0.682, 0.501)
Li (0.250, 0.750, 0.500)
O (0.582, 0.582, 0.775)
Ti (0.190, 0.686, 0.752)
O (0.288, 0.288, 0.718)
O (0.668, 0.944, 0.500)
Ti (0.686, 0.190, 0.752)
Ti (0.189, 0.189, 0.750)
O (0.694, 0.918, 0.000)
Ti (0.562, 0.811, 0.000)
O (0.429, 0.712, 0.000)

***

Stability, highest: run Q